Record 1
KCa2P4O18 | GGA-PBE | optimized geometry

CIF file:
```
data_KCa2P4O18
_chemical_formula_sum 'K1 Ca2 P4 O18'
_cell_length_a 5.643
_cell_length_b 6.149
_cell_length_c 12.872
_cell_angle_alpha 78.03
_cell_angle_beta 85.09
_cell_angle_gamma 65.51
_space_group_name_H-M_alt 'P 1'
_space_group_IT_number 1
_space_group_name_Hall 'P 1'
loop_
_atom_site_label
_atom_site_type_symbol
_atom_site_fract_x
_atom_site_fract_y
_atom_site_fract_z
_atom_site_occupancy
K1 K 0.000 0.000 0.000 1
Ca1 Ca 0.498 0.329 0.434 1
Ca2 Ca 0.507 0.741 0.627 1
P1 P 0.006 0.827 0.431 1
P2 P 0.353 0.418 0.885 1
P3 P 0.645 0.657 0.175 1
P4 P 0.998 0.245 0.631 1
O1 O 0.028 0.007 0.712 1
O2 O 0.045 0.640 0.359 1
O3 O 0.082 0.583 0.921 1
O4 O 0.247 0.720 0.502 1
O5 O 0.254 0.182 0.568 1
O6 O 0.342 0.188 0.279 1
O7 O 0.375 0.154 0.923 1
O8 O 0.395 0.477 0.765 1
O9 O 0.424 0.633 0.122 1
O10 O 0.576 0.452 0.932 1
O11 O 0.605 0.596 0.295 1
O12 O 0.637 0.916 0.138 1
O13 O 0.657 0.886 0.783 1
O14 O 0.749 0.887 0.494 1
O15 O 0.756 0.349 0.560 1
O16 O 0.915 0.489 0.139 1
O17 O 0.957 0.433 0.702 1
O18 O 0.975 0.068 0.353 1
```

=====

Record 2
KCa10P7O28 | GGA-PBE | optimized geometry

CIF file:
```
data_KCa10P7O28
_chemical_formula_sum 'K6 Ca60 P42 O168'
_cell_length_a 10.6067
_cell_length_b 10.6067
_cell_length_c 37.5736
_cell_angle_alpha 90.00
_cell_angle_beta 90.00
_cell_angle_gamma 120.00
_space_group_name_H-M_alt 'R 3 c'
_space_group_IT_number 161
_space_group_name_Hall 'R 3 -2"c'
loop_
_atom_site_label
_atom_site_type_symbol
_atom_site_fract_x
_atom_site_fract_y
_atom_site_fract_z
_atom_site_occupancy
K1 K 0.0000 0.0000 0.0000 1
Ca1 Ca 0.0000 0.0000 0.3184 1
Ca2 Ca 0.0591 0.5251 0.4168 1
Ca3 Ca 0.0723 0.5196 0.3117 1
Ca4 Ca 0.1749 0.3877 0.0520 1
P1 P 0.0000 0.0000 0.0857 1
P2 P 0.0194 0.4874 0.6194 1
P3 P 0.1500 0.3470 0.8509 1
O1 O 0.0000 0.0000 0.1272 1
O2 O 0.0059 0.1424 0.0724 1
O3 O 0.0186 0.2300 0.4405 1
O4 O 0.0236 0.2845 0.1962 1
O5 O 0.0474 0.4733 0.6593 1
O6 O 0.0597 0.3836 0.5988 1
O7 O 0.0753 0.1822 0.8607 1
O8 O 0.1223 0.4246 0.3686 1
O9 O 0.1722 0.3716 0.8101 1
O10 O 0.1865 0.0911 0.2778 1
```

=====

Record 3
K2CaPrO4 | GGA-PBE | optimized geometry

CIF file:
```
data_K2CaPrO4
_chemical_formula_sum 'K2 Ca1 Pr1 O4'
_cell_length_a 6.177
_cell_length_b 3.651
_cell_length_c 6.621
_cell_angle_alpha 90.00
_cell_angle_beta 107.58
_cell_angle_gamma 90.00
_space_group_name_H-M_alt 'P 1 2/m 1'
_space_group_IT_number 10
_space_group_name_Hall '-P 2y'
loop_
_atom_site_label
_atom_site_type_symbol
_atom_site_fract_x
_atom_site_fract_y
_atom_site_fract_z
_atom_site_occupancy
K1 K 0.000 0.000 0.000 1
K2 K 0.500 0.500 0.000 1
Ca1 Ca 0.000 0.500 0.500 1
Pr1 Pr 0.500 0.000 0.500 1
O1 O 0.237 0.000 0.696 1
O2 O 0.269 0.500 0.304 1
```

=====

Record 4
KCaZrSbO6 | GGA-PBE | optimized geometry

CIF file:
```
data_KCaZrSbO6
_chemical_formula_sum 'K4 Ca4 Zr4 Sb4 O24'
_cell_length_a 8.173
_cell_length_b 8.173
_cell_length_c 8.173
_cell_angle_alpha 90.00
_cell_angle_beta 90.00
_cell_angle_gamma 90.00
_space_group_name_H-M_alt 'F -4 3 m'
_space_group_IT_number 216
_space_group_name_Hall 'F -4 2 3'
loop_
_atom_site_label
_atom_site_type_symbol
_atom_site_fract_x
_atom_site_fract_y
_atom_site_fract_z
_atom_site_occupancy
K1 K 0.000 0.000 0.000 1
Ca1 Ca 0.000 0.000 0.500 1
Zr1 Zr 0.250 0.250 0.750 1
Sb1 Sb 0.250 0.250 0.250 1
O1 O 0.006 0.250 0.250 1
```

=====

Record 5
K2CaSi4O15 | GGA-PBE | optimized geometry

CIF file:
```
data_K2CaSi4O15
_chemical_formula_sum 'K8 Ca4 Si16 O60'
_cell_length_a 6.445
_cell_length_b 7.115
_cell_length_c 31.612
_cell_angle_alpha 90.00
_cell_angle_beta 99.71
_cell_angle_gamma 90.00
_space_group_name_H-M_alt 'P 1 21/c 1'
_space_group_IT_number 14
_space_group_name_Hall '-P 2ybc'
loop_
_atom_site_label
_atom_site_type_symbol
_atom_site_fract_x
_atom_site_fract_y
_atom_site_fract_z
_atom_site_occupancy
K1 K 0.068 0.161 0.444 1
K2 K 0.418 0.148 0.332 1
Ca1 Ca 0.024 0.653 0.258 1
Si1 Si 0.066 0.631 0.657 1
Si2 Si 0.074 0.065 0.658 1
Si3 Si 0.241 0.655 0.393 1
Si4 Si 0.444 0.150 0.175 1
O1 O 0.019 0.569 0.798 1
O2 O 0.024 0.125 0.799 1
O3 O 0.058 0.211 0.027 1
O4 O 0.074 0.662 0.883 1
O5 O 0.091 0.042 0.885 1
O6 O 0.109 0.652 0.141 1
O7 O 0.169 0.082 0.045 1
O8 O 0.302 0.535 0.660 1
O9 O 0.312 0.156 0.663 1
O10 O 0.355 0.653 0.349 1
O11 O 0.366 0.136 0.248 1
O12 O 0.382 0.668 0.439 1
O13 O 0.446 0.640 0.273 1
O14 O 0.457 0.725 0.538 1
O15 O 0.495 0.619 0.057 1
```

=====

Record 6
K2Ca4Si8O21 | GGA-PBE | optimized geometry

CIF file:
```
data_K2Ca4Si8O21
_chemical_formula_sum 'K2 Ca4 Si8 O21'
_cell_length_a 6.883
_cell_length_b 7.194
_cell_length_c 11.333
_cell_angle_alpha 96.69
_cell_angle_beta 105.32
_cell_angle_gamma 109.13
_space_group_name_H-M_alt 'P -1'
_space_group_IT_number 2
_space_group_name_Hall '-P 1'
loop_
_atom_site_label
_atom_site_type_symbol
_atom_site_fract_x
_atom_site_fract_y
_atom_site_fract_z
_atom_site_occupancy
K1 K 0.240 0.208 0.430 1
Ca1 Ca 0.129 0.767 0.957 1
Ca2 Ca 0.162 0.285 0.817 1
Si1 Si 0.163 0.700 0.471 1
Si2 Si 0.324 0.599 0.255 1
Si3 Si 0.372 0.970 0.743 1
Si4 Si 0.402 0.261 0.113 1
O1 O 0.000 0.500 0.500 1
O2 O 0.032 0.813 0.391 1
O3 O 0.111 0.588 0.149 1
O4 O 0.158 0.915 0.783 1
O5 O 0.174 0.193 0.003 1
O6 O 0.313 0.619 0.400 1
O7 O 0.346 0.844 0.605 1
O8 O 0.374 0.624 0.912 1
O9 O 0.383 0.395 0.238 1
O10 O 0.413 0.045 0.155 1
O11 O 0.452 0.215 0.740 1
```

=====

| no. | formation enthalpy at 0 K (meV/atom) | raw total energy (Ry/atom) |
| --- | --- | --- |
| 1 | -1946.4 | -0.4473 |
| 2 | -3294.2 | -0.5271 |
| 3 | -2547.7 | -0.4266 |
| 4 | -2799.5 | -0.5097 |
| 5 | -2034.6 | -0.4760 |
| 6 | -3288.9 | -0.5423 |